# 1
## Li2FeSiO5 (GGA+U)

Data for Li2FeSiO5 after structural relaxation.

The structure in POSCAR format:
```
Li2FeSiO5
1.0
6.440 -4.533 0.000
6.440 4.533 0.000
-6.437 0.000 6.439
Li Fe Si O
8 4 4 20
Direct
0.001 0.001 0.250
0.249 0.249 0.256
0.251 0.251 0.758
0.499 0.499 0.248
0.501 0.501 0.752
0.749 0.749 0.242
0.751 0.751 0.744
0.999 0.999 0.750
0.201 0.799 0.000
0.301 0.699 0.500
0.702 0.298 0.000
0.801 0.199 0.500
0.004 0.501 0.503
0.499 0.996 0.497
0.503 0.001 0.002
0.999 0.497 0.998
0.002 0.706 0.997
0.003 0.292 0.505
0.013 0.283 0.802
0.109 0.891 0.500
0.208 0.498 0.211
0.217 0.486 0.505
0.286 0.013 0.302
0.294 0.998 0.003
0.393 0.607 0.000
0.486 0.214 0.003
0.502 0.792 0.789
0.503 0.206 0.711
0.514 0.783 0.495
0.610 0.390 0.500
0.708 0.997 0.495
0.717 0.987 0.198
0.786 0.514 0.997
0.794 0.497 0.289
0.894 0.106 0.000
0.987 0.714 0.698
```

# 2
## Li2FeSiO4 (GGA+U)

Data for Li2FeSiO4 after structural relaxation.

The structure in POSCAR format:
```
Li2FeSiO4
1.0
10.771 0.000 0.000
0.000 6.362 0.000
0.000 0.000 5.120
Li Fe Si O
8 4 4 16
Direct
0.169 0.006 0.207
0.169 0.494 0.207
0.331 0.506 0.707
0.331 0.994 0.707
0.669 0.006 0.293
0.669 0.494 0.293
0.831 0.506 0.793
0.831 0.994 0.793
0.081 0.750 0.799
0.419 0.250 0.299
0.581 0.750 0.701
0.919 0.250 0.201
0.084 0.250 0.696
0.416 0.750 0.196
0.584 0.250 0.804
0.916 0.750 0.304
0.063 0.750 0.214
0.091 0.250 0.372
0.157 0.039 0.807
0.157 0.461 0.807
0.343 0.539 0.307
0.343 0.961 0.307
0.409 0.750 0.872
0.437 0.250 0.714
0.563 0.750 0.286
0.591 0.250 0.128
0.657 0.039 0.693
0.657 0.461 0.693
0.843 0.539 0.193
0.843 0.961 0.193
0.909 0.750 0.628
0.937 0.250 0.786
```

no.,E (MP2020) (eV per formula unit),ΔH_f (0 K) (kJ/mol of formula units),calculated density (Mg/m³)
1,-63.16,-1998,3.1
2,-57.97,-1975,3.1